# 1
Mo2P3O11 | r2SCAN | relaxed

Volume = 854.98 Å³/cell
Density = 3.6 g/cm3
Total magnetic moment = 20.00 μB per cell
ΔE_f = -2.214 eV per atom

CIF file:
```
data_Mo2P3O11
_chemical_formula_sum 'Mo8 P12 O44'
_symmetry_space_group_name_H-M 'C 1 2/c 1'
_symmetry_Int_Tables_number 15
_cell_length_a 11.9122
_cell_length_b 8.7176
_cell_length_c 9.0347
_cell_angle_alpha 90.00
_cell_angle_beta 114.32
_cell_angle_gamma 90.00
loop_
_symmetry_equiv_pos_as_xyz
'x,y,z'
'-x,-y,-z'
'-x,y,-z+1/2'
'x,-y,z+1/2'
'x+1/2,y+1/2,z'
'-x+1/2,-y+1/2,-z'
'-x+1/2,y+1/2,-z+1/2'
'x+1/2,-y+1/2,z+1/2'
loop_
_atom_site_label
_atom_site_fract_x
_atom_site_fract_y
_atom_site_fract_z
Mo1 0.1251 0.2396 0.0404
P1 0.0000 0.0390 0.2500
P2 0.1083 0.4368 0.7134
O1 0.0000 0.4884 0.2500
O2 0.0493 0.3290 0.5715
O3 0.0774 0.0584 0.8961
O4 0.0881 0.1399 0.2092
O5 0.1801 0.4348 0.1847
O6 0.1875 0.3467 0.8702
```

=====

# 2
HfO2 | r2SCAN | relaxed

Volume = 128.33 Å³/cell
Density = 10.9 g/cm3
Total magnetic moment = 0.00 μB per cell
ΔE_f = -3.822 eV per atom

CIF file:
```
data_HfO2
_chemical_formula_sum 'Hf4 O8'
_symmetry_space_group_name_H-M 'P 21 21 2'
_symmetry_Int_Tables_number 18
_cell_length_a 5.0803
_cell_length_b 5.1649
_cell_length_c 4.8909
_cell_angle_alpha 90.00
_cell_angle_beta 90.00
_cell_angle_gamma 90.00
loop_
_symmetry_equiv_pos_as_xyz
'x,y,z'
'-x,-y,z'
'x+1/2,-y+1/2,-z'
'-x+1/2,y+1/2,-z'
loop_
_atom_site_label
_atom_site_fract_x
_atom_site_fract_y
_atom_site_fract_z
Hf1 0.2226 0.2182 0.2279
O1 0.0000 0.0000 0.9244
O2 0.0000 0.5000 0.0109
O3 0.1868 0.8364 0.3955
```